a) Density functional theory data (GGA-PBE) for crystalline Ca2Al3Si3O13 at its relaxed geometry.

abc: 5.656 8.919 10.235
angles: 65.24 90.00 90.00
Positions (direct):
Al (0.750, 0.058, 0.230)
Al (0.250, 0.942, 0.770)
Al (0.000, 0.000, 0.000)
Al (0.500, 0.000, 0.000)
Al (0.500, 0.500, 0.500)
Al (0.000, 0.500, 0.500)
Ca (0.250, 0.175, 0.424)
Ca (0.750, 0.389, 0.850)
Ca (0.750, 0.825, 0.576)
Ca (0.250, 0.611, 0.150)
O (0.485, 0.955, 0.352)
O (0.750, 0.662, 0.816)
O (0.515, 0.045, 0.648)
O (0.495, 0.192, 0.044)
O (0.984, 0.457, 0.337)
O (0.995, 0.808, 0.956)
O (0.985, 0.045, 0.648)
O (0.016, 0.543, 0.663)
O (0.750, 0.335, 0.593)
O (0.750, 0.933, 0.128)
O (0.250, 0.353, 0.554)
O (0.005, 0.192, 0.044)
O (0.250, 0.338, 0.184)
O (0.516, 0.457, 0.337)
O (0.250, 0.067, 0.872)
O (0.750, 0.105, 0.855)
O (0.250, 0.469, 0.904)
O (0.505, 0.808, 0.956)
O (0.484, 0.543, 0.663)
O (0.250, 0.665, 0.407)
O (0.750, 0.531, 0.096)
O (0.015, 0.955, 0.352)
O (0.750, 0.647, 0.446)
O (0.250, 0.895, 0.145)
O (0.250, 0.783, 0.705)
O (0.750, 0.217, 0.295)
Si (0.750, 0.709, 0.950)
Si (0.250, 0.592, 0.731)
Si (0.750, 0.408, 0.269)
Si (0.750, 0.132, 0.683)
Si (0.250, 0.291, 0.050)
Si (0.250, 0.868, 0.317)

M_tot (μB/cell): 2.00

***

b) Density functional theory data (GGA-PBE) for crystalline Ca2Al3Si3O13 at its relaxed geometry.

abc: 5.779 10.700 15.718
angles: 90.00 90.00 90.00
Positions (direct):
O (0.015, 0.756, 0.141)
O (0.250, 0.095, 0.285)
O (0.250, 0.934, 0.721)
O (0.750, 0.837, 0.001)
O (0.515, 0.244, 0.859)
O (0.750, 0.298, 0.000)
O (0.750, 0.905, 0.715)
O (0.481, 0.441, 0.095)
O (0.250, 0.316, 0.219)
O (0.750, 0.202, 0.500)
O (0.019, 0.104, 0.144)
O (0.750, 0.066, 0.942)
O (0.750, 0.663, 0.501)
O (0.515, 0.256, 0.359)
O (0.015, 0.744, 0.641)
O (0.750, 0.434, 0.779)
O (0.250, 0.566, 0.221)
O (0.519, 0.896, 0.856)
O (0.750, 0.684, 0.781)
O (0.485, 0.756, 0.141)
O (0.519, 0.604, 0.356)
O (0.250, 0.716, 0.793)
O (0.750, 0.816, 0.281)
O (0.985, 0.256, 0.359)
O (0.250, 0.798, 0.500)
O (0.750, 0.434, 0.442)
O (0.485, 0.744, 0.641)
O (0.250, 0.934, 0.058)
O (0.250, 0.184, 0.719)
O (0.519, 0.941, 0.405)
O (0.981, 0.941, 0.405)
O (0.481, 0.104, 0.144)
O (0.250, 0.337, 0.499)
O (0.981, 0.896, 0.856)
O (0.750, 0.066, 0.279)
O (0.750, 0.595, 0.215)
O (0.750, 0.216, 0.707)
O (0.019, 0.396, 0.644)
O (0.481, 0.396, 0.644)
O (0.519, 0.559, 0.905)
O (0.250, 0.163, 0.999)
O (0.750, 0.284, 0.207)
O (0.985, 0.244, 0.859)
O (0.250, 0.702, 0.000)
O (0.019, 0.059, 0.595)
O (0.481, 0.059, 0.595)
O (0.981, 0.604, 0.356)
O (0.250, 0.405, 0.785)
O (0.019, 0.441, 0.095)
O (0.250, 0.784, 0.293)
O (0.250, 0.566, 0.558)
O (0.981, 0.559, 0.905)
Al (0.750, 0.147, 0.605)
Al (0.250, 0.853, 0.395)
Al (0.996, 0.188, 0.247)
Al (0.004, 0.688, 0.253)
Al (0.504, 0.188, 0.247)
Al (0.496, 0.812, 0.753)
Al (0.996, 0.312, 0.747)
Al (0.496, 0.688, 0.253)
Al (0.750, 0.353, 0.105)
Al (0.250, 0.647, 0.895)
Al (0.504, 0.312, 0.747)
Al (0.004, 0.812, 0.753)
Si (0.750, 0.917, 0.915)
Si (0.250, 0.417, 0.585)
Si (0.750, 0.558, 0.842)
Si (0.250, 0.083, 0.085)
Si (0.250, 0.058, 0.658)
Si (0.750, 0.214, 0.915)
Si (0.250, 0.714, 0.585)
Si (0.750, 0.286, 0.415)
Si (0.750, 0.942, 0.342)
Si (0.250, 0.786, 0.085)
Si (0.250, 0.442, 0.158)
Si (0.750, 0.583, 0.415)
Ca (0.750, 0.937, 0.134)
Ca (0.750, 0.861, 0.544)
Ca (0.250, 0.361, 0.956)
Ca (0.750, 0.563, 0.634)
Ca (0.250, 0.139, 0.456)
Ca (0.750, 0.639, 0.044)
Ca (0.250, 0.063, 0.866)
Ca (0.250, 0.437, 0.366)

M_tot (μB/cell): 4.00

***

Computed stability ranking, most favorable first: b), a)